This record from the Materials Project describes a relaxed structure of Rb2Mo. The functional is PBE.

Results
- calculated formation energy (eV/atom) = 1.07

Cell: 13.059 6.634 8.662 Å, 90.00 116.66 90.00°
Space group C2/m (No. 12)
One atom of each set of equivalent atoms:
Rb 0.075 0.000 0.337
Rb 0.186 0.500 0.097
Mo 0.085 0.500 0.574